(1)
A plane-wave DFT calculation with PBE was carried out for a relaxed structure of Tm2OsPd.

Cell: 4.818 4.818 4.818 Å, 60.00 60.00 60.00°
Fractional positions:
Tm 0.750 0.750 0.750
Tm 0.250 0.250 0.250
Os 0.500 0.500 0.500
Pd 0.000 0.000 0.000

Properties
space group	Fm-3m
formation enthalpy at 0 K	-0.635	eV per atom



(2)
A plane-wave DFT calculation with PBE was carried out for a relaxed structure of Pm2ZnOs.

Cell: 5.048 5.048 5.048 Å, 60.00 60.00 60.00°
Fractional positions:
Pm 0.250 0.250 0.250
Pm 0.750 0.750 0.750
Zn 0.000 0.000 0.000
Os 0.500 0.500 0.500

Properties
space group	Fm-3m
formation enthalpy at 0 K	-0.156	eV per atom



(3)
A plane-wave DFT calculation with PBE was carried out for a relaxed structure of PrOs2.

Cell: 5.395 5.395 9.171 Å, 90.00 90.00 120.00°
Fractional positions:
Pr 0.333 0.667 0.435
Pr 0.667 0.333 0.565
Pr 0.667 0.333 0.935
Pr 0.333 0.667 0.065
Os 0.000 0.000 0.500
Os 0.000 0.000 0.000
Os 0.829 0.171 0.250
Os 0.829 0.659 0.250
Os 0.341 0.171 0.250
Os 0.171 0.829 0.750
Os 0.171 0.341 0.750
Os 0.659 0.829 0.750

Properties
space group	P6_3/mmc
formation enthalpy at 0 K	-0.052	eV per atom



(4)
A plane-wave DFT calculation with PBE was carried out for a relaxed structure of Pr2Os3.

Cell: 3.679 3.679 9.321 Å, 82.36 82.36 76.09°
Fractional positions:
Pr 0.619 0.619 0.808
Pr 0.381 0.381 0.192
Os 0.000 0.000 0.000
Os 0.700 0.700 0.463
Os 0.300 0.300 0.537

Properties
space group	C2/m
formation enthalpy at 0 K	0.426	eV per atom
spin magnetization	0.00	μB/cell



(5)
A plane-wave DFT calculation with PBE was carried out for a relaxed structure of PrOs2.

Cell: 5.471 5.471 5.471 Å, 60.00 60.00 60.00°
Fractional positions:
Pr 0.750 0.750 0.750
Pr 0.500 0.500 0.500
Os 0.125 0.625 0.125
Os 0.125 0.125 0.625
Os 0.625 0.125 0.125
Os 0.125 0.125 0.125

Properties
space group	Fd-3m
formation enthalpy at 0 K	-0.029	eV per atom



(6)
A plane-wave DFT calculation with PBE was carried out for a relaxed structure of Pr4Os.

Cell: 8.031 8.031 8.031 Å, 60.00 60.00 60.00°
Fractional positions:
Pr 0.614 0.614 0.614
Pr 0.159 0.614 0.614
Pr 0.614 0.159 0.614
Pr 0.591 0.136 0.136
Pr 0.136 0.136 0.136
Pr 0.614 0.614 0.159
Pr 0.136 0.591 0.136
Pr 0.136 0.136 0.591
Os 0.000 0.000 0.000
Os 0.750 0.750 0.750

Properties
space group	Fd-3m
formation enthalpy at 0 K	0.422	eV per atom
spin magnetization	0.01	μB/cell



(7)
A plane-wave DFT calculation with PBE was carried out for a relaxed structure of PrSi2Os2.

Cell: 5.816 5.816 5.816 Å, 137.43 137.43 61.78°
Fractional positions:
Pr 0.000 0.000 0.000
Si 0.633 0.633 0.000
Si 0.367 0.367 0.000
Os 0.750 0.250 0.500
Os 0.250 0.750 0.500

Properties
space group	I4/mmm
formation enthalpy at 0 K	-0.684	eV per atom



(8)
A plane-wave DFT calculation with PBE was carried out for a relaxed structure of OsPt4.

Cell: 11.492 11.492 11.492 Å, 13.98 13.98 13.98°
Fractional positions:
Os 0.000 0.000 0.000
Pt 0.603 0.603 0.603
Pt 0.201 0.201 0.201
Pt 0.799 0.799 0.799
Pt 0.397 0.397 0.397

Properties
space group	R-3m
formation enthalpy at 0 K	0.022	eV per atom
spin magnetization	0.00	μB/cell



(9)
A plane-wave DFT calculation with PBE was carried out for a relaxed structure of PuOs2.

Cell: 5.346 5.346 8.743 Å, 90.00 90.00 120.01°
Fractional positions:
Pu 0.667 0.333 0.568
Pu 0.333 0.667 0.432
Pu 0.333 0.667 0.068
Pu 0.667 0.333 0.932
Os 0.000 0.000 0.500
Os 0.000 0.000 0.000
Os 0.171 0.342 0.750
Os 0.171 0.829 0.750
Os 0.658 0.829 0.750
Os 0.829 0.658 0.250
Os 0.829 0.171 0.250
Os 0.342 0.171 0.250

Properties
space group	P6_3/mmc
formation enthalpy at 0 K	-0.122	eV per atom
spin magnetization	17.15	μB/cell



(10)
A plane-wave DFT calculation with PBE was carried out for a relaxed structure of PuOs2.

Cell: 5.277 5.277 5.277 Å, 60.00 60.00 60.00°
Fractional positions:
Pu 0.500 0.500 0.500
Pu 0.750 0.750 0.750
Os 0.125 0.125 0.125
Os 0.625 0.125 0.125
Os 0.125 0.625 0.125
Os 0.125 0.125 0.625

Properties
space group	Fd-3m
formation enthalpy at 0 K	0.371	eV per atom
spin magnetization	0.02	μB/cell



(11)
A plane-wave DFT calculation with PBE was carried out for a relaxed structure of ReOs.

Cell: 2.778 2.778 4.398 Å, 90.00 90.00 120.00°
Fractional positions:
Re 0.667 0.333 0.000
Os 0.000 0.000 0.500

Properties
space group	P-6m2
formation enthalpy at 0 K	-0.086	eV per atom



(12)
A plane-wave DFT calculation with PBE was carried out for a relaxed structure of Re3Os.

Cell: 5.565 5.565 4.438 Å, 90.00 90.00 120.00°
Fractional positions:
Re 0.834 0.166 0.750
Re 0.331 0.166 0.750
Re 0.834 0.669 0.750
Re 0.166 0.834 0.250
Re 0.669 0.834 0.250
Re 0.166 0.331 0.250
Os 0.667 0.333 0.250
Os 0.333 0.667 0.750

Properties
space group	P6_3/mmc
formation enthalpy at 0 K	-0.059	eV per atom